# 1
Density functional theory data (PBE) for an optimized crystal structure of Na18Mg16Nb8Si9S27O144.

Cell and atoms, written as POSCAR:
```
Na18Mg16Nb8Si9S27O144
1.0
17.642 -0.012 -0.028
-4.416 7.662 0.002
-0.036 -0.016 22.539
O S Mg Na Nb Si
144 27 16 18 8 9
Direct
0.086 0.971 0.914 O
0.566 0.651 0.363 O
0.174 0.489 0.078 O
0.918 0.027 0.091 O
0.586 0.203 0.413 O
0.747 0.341 0.742 O
0.594 0.016 0.589 O
0.435 0.505 0.420 O
0.256 0.860 0.078 O
0.757 0.652 0.577 O
0.109 0.023 0.315 O
0.239 0.124 0.633 O
0.315 0.500 0.921 O
0.486 0.803 0.092 O
0.826 0.519 0.632 O
0.259 0.658 0.581 O
0.737 0.121 0.635 O
0.400 0.967 0.408 O
0.847 0.137 0.027 O
0.065 0.645 0.363 O
0.901 0.825 0.913 O
0.845 0.515 0.244 O
0.601 0.030 0.309 O
0.928 0.309 0.529 O
0.399 0.827 0.198 O
0.345 0.174 0.744 O
0.257 0.871 0.362 O
0.413 0.019 0.092 O
0.656 0.850 0.978 O
0.846 0.553 0.524 O
0.916 0.806 0.587 O
0.347 0.539 0.243 O
0.248 0.342 0.740 O
0.720 0.306 0.028 O
0.673 0.858 0.578 O
0.907 0.796 0.317 O
0.927 0.317 0.240 O
0.759 0.689 0.260 O
0.582 0.700 0.753 O
0.579 0.984 0.913 O
0.646 0.482 0.759 O
0.815 0.131 0.421 O
0.567 0.648 0.083 O
0.675 0.487 0.364 O
0.847 0.177 0.743 O
0.427 0.307 0.528 O
0.249 0.169 0.244 O
0.582 0.458 0.256 O
0.827 0.132 0.135 O
0.225 0.306 0.030 O
0.221 0.132 0.525 O
0.255 0.643 0.863 O
0.675 0.852 0.861 O
0.078 0.173 0.414 O
0.722 0.139 0.528 O
0.147 0.477 0.758 O
0.657 0.464 0.471 O
0.427 0.546 0.031 O
0.085 0.193 0.693 O
0.069 0.653 0.078 O
0.426 0.320 0.240 O
0.936 0.363 0.921 O
0.904 0.017 0.817 O
0.430 0.361 0.924 O
0.487 0.787 0.803 O
0.438 0.353 0.636 O
0.990 0.190 0.303 O
0.255 0.354 0.418 O
0.506 0.818 0.413 O
0.403 0.970 0.697 O
0.487 0.169 0.588 O
0.747 0.156 0.241 O
0.755 0.868 0.362 O
0.082 0.702 0.756 O
0.017 0.826 0.697 O
0.417 0.809 0.588 O
0.176 0.866 0.865 O
0.672 0.488 0.079 O
0.584 0.977 0.193 O
0.266 0.686 0.970 O
0.434 0.521 0.139 O
0.011 0.199 0.916 O
0.905 0.973 0.697 O
0.076 0.686 0.470 O
0.173 0.856 0.577 O
0.273 0.851 0.469 O
0.258 0.827 0.760 O
0.176 0.496 0.359 O
0.483 0.182 0.304 O
0.322 0.131 0.420 O
0.934 0.348 0.637 O
0.396 0.817 0.913 O
0.247 0.128 0.922 O
0.348 0.139 0.027 O
0.512 0.201 0.197 O
0.515 0.824 0.695 O
0.507 0.201 0.916 O
0.765 0.846 0.469 O
0.406 0.016 0.817 O
0.083 0.469 0.254 O
0.347 0.558 0.525 O
0.739 0.355 0.135 O
0.896 0.975 0.413 O
0.009 0.813 0.414 O
0.594 0.174 0.091 O
0.067 0.482 0.865 O
0.938 0.522 0.137 O
0.085 0.978 0.196 O
0.755 0.152 0.918 O
0.324 0.128 0.134 O
0.771 0.690 0.971 O
0.926 0.544 0.029 O
0.403 0.792 0.306 O
0.155 0.819 0.257 O
0.266 0.695 0.253 O
0.574 0.461 0.973 O
0.988 0.170 0.589 O
0.905 0.837 0.197 O
0.609 0.189 0.814 O
0.933 0.498 0.421 O
0.068 0.487 0.581 O
0.096 0.174 0.090 O
0.095 0.014 0.588 O
0.987 0.789 0.804 O
0.328 0.521 0.633 O
0.018 0.211 0.196 O
0.239 0.358 0.137 O
0.760 0.828 0.756 O
0.076 0.464 0.972 O
0.758 0.642 0.864 O
0.820 0.507 0.922 O
0.583 0.192 0.696 O
0.569 0.484 0.577 O
0.576 0.693 0.470 O
0.161 0.475 0.474 O
0.760 0.860 0.081 O
0.425 0.536 0.739 O
0.926 0.538 0.740 O
0.646 0.815 0.257 O
0.562 0.482 0.865 O
0.157 0.853 0.972 O
0.107 0.174 0.811 O
0.747 0.366 0.420 O
0.987 0.804 0.089 O
0.335 0.630 0.583 S
0.356 0.710 0.252 S
0.814 0.668 0.919 S
0.979 0.619 0.083 S
0.332 0.039 0.082 S
0.187 0.337 0.083 S
0.835 0.041 0.083 S
0.521 0.667 0.418 S
0.310 0.660 0.919 S
0.688 0.341 0.083 S
0.999 0.712 0.751 S
0.499 0.710 0.749 S
0.020 0.658 0.420 S
0.834 0.626 0.581 S
0.185 0.034 0.581 S
0.165 0.955 0.919 S
0.685 0.036 0.583 S
0.519 0.379 0.920 S
0.000 0.288 0.249 S
0.665 0.376 0.419 S
0.477 0.616 0.086 S
0.978 0.337 0.584 S
0.023 0.377 0.919 S
0.810 0.960 0.419 S
0.498 0.286 0.251 S
0.314 0.958 0.417 S
0.479 0.336 0.583 S
0.330 0.325 0.686 Mg
0.331 0.334 0.483 Mg
0.331 0.336 0.981 Mg
0.828 0.326 0.687 Mg
0.328 0.324 0.184 Mg
0.165 0.665 0.019 Mg
0.166 0.656 0.521 Mg
0.665 0.666 0.521 Mg
0.666 0.675 0.018 Mg
0.505 0.999 0.850 Mg
0.006 0.010 0.350 Mg
0.830 0.323 0.485 Mg
0.831 0.333 0.187 Mg
0.833 0.326 0.979 Mg
0.506 0.008 0.352 Mg
0.003 0.007 0.850 Mg
0.170 0.670 0.661 Na
0.008 0.006 0.996 Na
0.665 0.287 0.906 Na
0.324 0.319 0.329 Na
0.505 0.978 0.992 Na
0.165 0.043 0.411 Na
0.353 0.037 0.907 Na
0.853 0.671 0.411 Na
0.008 0.036 0.498 Na
0.326 0.331 0.820 Na
0.826 0.322 0.322 Na
0.825 0.315 0.823 Na
0.510 0.012 0.502 Na
0.673 0.677 0.160 Na
0.847 0.035 0.908 Na
0.344 0.653 0.423 Na
0.669 0.663 0.664 Na
0.165 0.671 0.161 Na
0.167 0.662 0.808 Nb
0.671 0.681 0.809 Nb
0.669 0.675 0.308 Nb
0.000 0.986 0.150 Nb
0.999 0.010 0.650 Nb
0.505 0.998 0.146 Nb
0.499 0.011 0.652 Nb
0.164 0.659 0.312 Nb
0.663 0.962 0.921 Si
0.650 0.011 0.254 Si
0.358 0.015 0.757 Si
0.164 0.363 0.421 Si
0.858 0.015 0.756 Si
0.151 0.287 0.754 Si
0.859 0.702 0.257 Si
0.153 0.009 0.256 Si
0.651 0.299 0.756 Si
```

Summary:
- symmetry = P1
- energy of formation (eV per atom) = -2.44

# 2
Density functional theory data (PBE) for an optimized crystal structure of Na3MgNbSi2SO12.

Cell and atoms, written as POSCAR:
```
Na3MgNbSi2SO12
1.0
-5.367 6.525 -3.241
3.744 -5.958 -5.688
-17.772 -13.709 2.359
Na O Si Nb Mg S
18 72 12 6 6 6
Direct
0.655 0.677 0.086 Na
0.050 0.357 0.080 Na
0.989 0.982 0.493 Na
0.322 0.010 0.420 Na
0.323 0.345 0.586 Na
0.351 0.678 0.660 Na
0.977 0.617 0.247 Na
0.990 0.678 0.920 Na
0.684 0.344 0.327 Na
0.656 0.316 0.827 Na
0.322 0.649 0.160 Na
0.383 0.023 0.747 Na
0.657 0.012 0.253 Na
0.643 0.950 0.580 Na
0.717 0.690 0.413 Na
0.018 0.011 0.993 Na
0.310 0.283 0.913 Na
0.988 0.343 0.753 Na
0.360 0.489 0.365 O
0.297 0.482 0.757 O
0.179 0.163 0.090 O
0.137 0.503 0.860 O
0.632 0.503 0.920 O
0.465 0.141 0.242 O
0.693 0.156 0.032 O
0.830 0.035 0.087 O
0.131 0.475 0.576 O
0.161 0.689 0.473 O
0.311 0.839 0.973 O
0.695 0.532 0.524 O
0.837 0.821 0.590 O
0.551 0.691 0.972 O
0.859 0.535 0.742 O
0.495 0.355 0.139 O
0.878 0.511 0.143 O
0.965 0.170 0.587 O
0.029 0.199 0.190 O
0.798 0.808 0.909 O
0.828 0.307 0.243 O
0.964 0.815 0.090 O
0.884 0.358 0.639 O
0.830 0.529 0.026 O
0.015 0.184 0.913 O
0.360 0.505 0.077 O
0.218 0.024 0.305 O
0.978 0.172 0.306 O
0.497 0.368 0.420 O
0.185 0.036 0.590 O
0.163 0.196 0.693 O
0.027 0.823 0.698 O
0.844 0.307 0.532 O
0.518 0.703 0.257 O
0.149 0.651 0.079 O
0.642 0.116 0.139 O
0.489 0.122 0.643 O
0.362 0.865 0.857 O
0.483 0.318 0.746 O
0.170 0.488 0.256 O
0.299 0.836 0.253 O
0.828 0.022 0.806 O
0.497 0.863 0.360 O
0.156 0.455 0.976 O
0.471 0.170 0.526 O
0.192 0.202 0.409 O
0.162 0.973 0.910 O
0.682 0.517 0.246 O
0.816 0.985 0.413 O
0.631 0.148 0.424 O
0.495 0.640 0.577 O
0.309 0.449 0.472 O
0.177 0.973 0.198 O
0.525 0.869 0.076 O
0.545 0.844 0.476 O
0.846 0.496 0.423 O
0.135 0.638 0.357 O
0.823 0.789 0.309 O
0.976 0.782 0.805 O
0.349 0.851 0.579 O
0.211 0.177 0.809 O
0.164 0.701 0.753 O
0.027 0.838 0.410 O
0.645 0.505 0.639 O
0.468 0.305 0.024 O
0.511 0.640 0.865 O
0.512 0.830 0.756 O
0.852 0.369 0.924 O
0.804 0.837 0.193 O
0.504 0.154 0.923 O
0.801 0.971 0.690 O
0.693 0.172 0.743 O
0.709 0.002 0.752 Si
0.631 0.962 0.420 Si
0.371 0.036 0.586 Si
0.038 0.369 0.920 Si
0.042 0.669 0.419 Si
0.331 0.958 0.919 Si
0.375 0.335 0.085 Si
0.704 0.703 0.253 Si
0.964 0.629 0.086 Si
0.665 0.625 0.585 Si
0.998 0.291 0.252 Si
0.297 0.296 0.753 Si
0.002 0.004 0.147 Nb
0.335 0.671 0.814 Nb
0.996 0.998 0.647 Nb
0.668 0.338 0.480 Nb
0.662 0.332 0.980 Nb
0.329 0.665 0.314 Nb
0.982 0.994 0.352 Mg
0.006 0.018 0.852 Mg
0.673 0.352 0.186 Mg
0.340 0.685 0.519 Mg
0.648 0.327 0.686 Mg
0.315 0.660 0.019 Mg
0.959 0.336 0.585 S
0.292 0.003 0.252 S
0.625 0.669 0.918 S
0.331 0.375 0.418 S
0.664 0.041 0.085 S
0.997 0.708 0.752 S
```

Summary:
- energy of formation (eV per atom) = -2.64